Density functional theory data (PBE-GGA) for a relaxed Ge3Sb crystal.

Unit cell a=4.9720 b=4.9720 c=4.9720 alpha=60.00 beta=60.00 gamma=60.00
Closest atoms and distances in Å follow each position.
Element x y z (fractional)
1 Ge 0.2500 0.2500 0.2500  4 Ge 3.04, 4 Sb 3.04
2 Ge 0.7500 0.7500 0.7500  4 Ge 3.04, 4 Sb 3.04
3 Ge 0.5000 0.5000 0.5000  8 Ge 3.04
4 Sb 0.0000 0.0000 0.0000  8 Ge 3.04

- total moment (μB per formula unit) = 0.00
- crystal system = cubic
- E_tot (eV/cell) = -16.66

---

Density functional theory data (PBE-GGA) for a relaxed PuSi2Os2 crystal.

Unit cell a=5.6302 b=5.6302 c=5.6302 alpha=137.05 beta=137.05 gamma=62.36
Closest atoms and distances in Å follow each position.
Element x y z (fractional)
1 Pu 0.0000 0.0000 0.0000  8 Si 3.15, 8 Os 3.17
2 Si 0.6232 0.6232 0.0000  1 Si 2.37, 4 Os 2.40
3 Si 0.3768 0.3768 0.0000  1 Si 2.37, 4 Os 2.40
4 Os 0.2500 0.7500 0.5000  4 Si 2.40
5 Os 0.7500 0.2500 0.5000  4 Si 2.40

- crystal system = tetragonal
- E_tot (eV/cell) = -50.30

---

Density functional theory data (PBE-GGA) for a relaxed Ag5Pb2O6 crystal.

Unit cell a=6.0659 b=6.0659 c=6.5293 alpha=90.00 beta=90.00 gamma=120.00
Closest atoms and distances in Å follow each position.
Element x y z (fractional)
1 Ag 0.5009 0.0000 0.5215  2 O 2.15
2 Ag 0.0000 0.0000 0.2738  3 O 2.33
3 Ag 0.4991 0.4991 0.5215  2 O 2.15
4 Ag 0.0000 0.5009 0.5215  2 O 2.15
5 Ag 0.0000 0.0000 0.7377  3 O 2.36
6 Pb 0.3333 0.6667 0.0203  6 O 2.28
7 Pb 0.6667 0.3333 0.0203  6 O 2.28
8 O 0.0000 0.6218 0.2127  2 Ag 2.15-2.33, 2 Pb 2.28
9 O 0.3761 0.0000 0.8291  2 Ag 2.15-2.36, 2 Pb 2.28
10 O 0.6218 0.0000 0.2127  2 Ag 2.15-2.33, 2 Pb 2.28
11 O 0.3782 0.3782 0.2127  2 Ag 2.15-2.33, 2 Pb 2.28
12 O 0.0000 0.3761 0.8291  2 Ag 2.15-2.36, 2 Pb 2.28
13 O 0.6239 0.6239 0.8291  2 Ag 2.15-2.36, 2 Pb 2.28

- total moment (μB per formula unit) = 0.00
- crystal system = trigonal
- E_tot (eV/cell) = -57.63

---

Density functional theory data (PBE-GGA) for a relaxed La4Ni3Sn8 crystal.

Unit cell a=4.5533 b=4.5687 c=18.1925 alpha=90.00 beta=90.00 gamma=90.00
Closest atoms and distances in Å follow each position.
Element x y z (fractional)
1 La 0.5000 0.0000 0.6049  10 Sn 3.39-3.59, 4 Ni 3.54
2 La 0.0000 0.0000 0.1090  10 Sn 3.41-3.72, 5 Ni 3.50-3.77
3 La 0.0000 0.5000 0.8913  10 Sn 3.38-3.64, 1 Ni 3.74
4 La 0.5000 0.5000 0.3911  10 Sn 3.41-3.65, 5 Ni 3.50-3.76
5 Ni 0.0000 0.0000 0.3163  5 Sn 2.48-2.59
6 Ni 0.0000 0.5000 0.6856  5 Sn 2.50-2.60
7 Ni 0.5000 0.5000 0.1843  5 Sn 2.49-2.58
8 Sn 0.5000 0.0000 0.9476  2 Sn 2.92
9 Sn 0.0000 0.0000 0.4526  1 Ni 2.48
10 Sn 0.0000 0.5000 0.5479  1 Ni 2.50
11 Sn 0.5000 0.5000 0.0473  1 Ni 2.49
12 Sn 0.0000 0.0000 0.7537  2 Ni 2.60
13 Sn 0.5000 0.0000 0.2488  4 Ni 2.57-2.59
14 Sn 0.5000 0.5000 0.7540  2 Ni 2.59
15 Sn 0.0000 0.5000 0.2508  4 Ni 2.58

- total moment (μB per formula unit) = 0.00
- crystal system = orthorhombic
- E_tot (eV/cell) = -78.98

---

Density functional theory data (PBE-GGA) for a relaxed Nd2AlCo2 crystal.

Unit cell a=4.0209 b=5.6113 c=5.6113 alpha=60.02 beta=69.01 gamma=69.01
Closest atoms and distances in Å follow each position.
Element x y z (fractional)
1 Nd 0.1992 0.3008 0.3008  6 Co 2.97-3.06, 2 Al 3.31
2 Nd 0.8008 0.6992 0.6992  6 Co 2.97-3.06, 2 Al 3.31
3 Al 0.0000 0.0000 0.0000  4 Co 2.52
4 Co 0.5000 0.2702 0.7298  2 Al 2.52, 1 Co 2.58
5 Co 0.5000 0.7298 0.2702  2 Al 2.52, 1 Co 2.58

- total moment (μB per formula unit) = 0.00
- crystal system = orthorhombic
- E_tot (eV/cell) = -28.78

---

Density functional theory data (PBE-GGA) for a relaxed SmSi2Rh3 crystal.

Unit cell a=5.5691 b=5.5691 c=3.6866 alpha=90.00 beta=90.00 gamma=120.00
Closest atoms and distances in Å follow each position.
Element x y z (fractional)
1 Sm 0.0000 0.0000 0.0000  6 Si 3.22, 12 Rh 3.34
2 Si 0.6667 0.3333 0.0000  6 Rh 2.45
3 Si 0.3333 0.6667 0.0000  6 Rh 2.45
4 Rh 0.5000 0.5000 0.5000  4 Si 2.45
5 Rh 0.5000 0.0000 0.5000  4 Si 2.45
6 Rh 0.0000 0.5000 0.5000  4 Si 2.45

- crystal system = hexagonal
- E_tot (eV/cell) = -43.77

---

Density functional theory data (PBE-GGA) for a relaxed Cu3Sb4O6F6 crystal.

Unit cell a=7.0716 b=7.0716 c=7.0716 alpha=109.47 beta=109.47 gamma=109.47
Closest atoms and distances in Å follow each position.
Element x y z (fractional)
1 Cu 0.5000 0.5000 0.0000  2 O 2.01, 4 F 2.04
2 Cu 0.5000 0.0000 0.5000  2 O 2.01, 4 F 2.04
3 Cu 0.0000 0.5000 0.5000  2 O 2.01, 4 F 2.04
4 Sb 0.6727 0.6727 0.6727  3 O 2.03
5 Sb 0.3273 0.0000 0.0000  3 O 2.03
6 Sb 0.0000 0.3273 0.0000  3 O 2.03
7 Sb 0.0000 0.0000 0.3273  3 O 2.03
8 O 0.7466 0.7466 0.0000  1 Cu 2.01, 2 Sb 2.03
9 O 0.2534 0.0000 0.2534  1 Cu 2.01, 2 Sb 2.03
10 O 0.0000 0.2534 0.2534  1 Cu 2.01, 2 Sb 2.03
11 O 0.2534 0.2534 0.0000  1 Cu 2.01, 2 Sb 2.03
12 O 0.7466 0.0000 0.7466  1 Cu 2.01, 2 Sb 2.03
13 O 0.0000 0.7466 0.7466  1 Cu 2.01, 2 Sb 2.03
14 F 0.5000 0.2500 0.7500  2 Cu 2.04
15 F 0.7500 0.2500 0.5000  2 Cu 2.04
16 F 0.7500 0.5000 0.2500  2 Cu 2.04
17 F 0.5000 0.7500 0.2500  2 Cu 2.04
18 F 0.2500 0.5000 0.7500  2 Cu 2.04
19 F 0.2500 0.7500 0.5000  2 Cu 2.04

- total moment (μB per formula unit) = 2.98
- crystal system = cubic
- E_tot (eV/cell) = -97.52

---

Density functional theory data (PBE-GGA) for a relaxed LaCo20P60 crystal.

Unit cell a=6.7110 b=6.7110 c=27.9453 alpha=80.81 beta=80.81 gamma=70.57
Closest atoms and distances in Å follow each position.
Element x y z (fractional)
1 La 0.0000 0.0000 0.0000  12 P 2.98-3.02
2 Co 0.7012 0.1979 0.1001  6 P 2.23-2.25
3 Co 0.1000 0.5999 0.3000  6 P 2.23-2.24
4 Co 0.5000 0.0000 0.5000  6 P 2.23-2.24
5 Co 0.9000 0.4001 0.7000  6 P 2.23-2.24
6 Co 0.2988 0.8021 0.8999  6 P 2.23-2.25
7 Co 0.5000 0.0000 0.0000  6 P 2.24-2.26
8 Co 0.8998 0.4006 0.2004  6 P 2.22-2.24
9 Co 0.2999 0.7999 0.4001  6 P 2.23-2.24
10 Co 0.7001 0.2001 0.5999  6 P 2.23-2.24
11 Co 0.1002 0.5994 0.7996  6 P 2.22-2.24
12 Co 0.0000 0.5000 0.0000  6 P 2.24-2.26
13 Co 0.4006 0.8998 0.2004  6 P 2.22-2.24
14 Co 0.7999 0.2999 0.4001  6 P 2.23-2.24
15 Co 0.2001 0.7001 0.5999  6 P 2.23-2.24
16 Co 0.5994 0.1002 0.7996  6 P 2.22-2.24
17 Co 0.1979 0.7012 0.1001  6 P 2.23-2.25
18 Co 0.5999 0.1000 0.3000  6 P 2.23-2.24
19 Co 0.0000 0.5000 0.5000  6 P 2.23-2.24
20 Co 0.4001 0.9000 0.7000  6 P 2.23-2.24
21 Co 0.8021 0.2988 0.8999  6 P 2.23-2.25
22 P 0.7520 0.4595 0.1318  2 Co 2.22-2.23, 2 P 2.27-2.30
23 P 0.1548 0.8632 0.3303  2 Co 2.23-2.24, 2 P 2.26-2.34
24 P 0.5552 0.2634 0.5302  2 Co 2.23, 2 P 2.26-2.34
25 P 0.9554 0.6635 0.7299  2 Co 2.23, 2 P 2.26-2.34
26 P 0.3646 0.0678 0.9278  2 Co 2.25-2.26, 2 P 2.30
27 P 0.6354 0.9322 0.0722  2 Co 2.25-2.26, 2 P 2.30
28 P 0.0446 0.3365 0.2701  2 Co 2.23, 2 P 2.26-2.34
29 P 0.4448 0.7366 0.4698  2 Co 2.23, 2 P 2.26-2.34
30 P 0.8452 0.1368 0.6697  2 Co 2.23-2.24, 2 P 2.26-2.34
31 P 0.2480 0.5405 0.8682  2 Co 2.22-2.23, 2 P 2.27-2.30
32 P 0.4595 0.7520 0.1318  2 Co 2.22-2.23, 2 P 2.27-2.30
33 P 0.8632 0.1548 0.3303  2 Co 2.23-2.24, 2 P 2.26-2.34
34 P 0.2634 0.5552 0.5302  2 Co 2.23, 2 P 2.26-2.34
35 P 0.6635 0.9554 0.7299  2 Co 2.23, 2 P 2.26-2.34
36 P 0.0678 0.3646 0.9278  2 Co 2.25-2.26, 2 P 2.30
37 P 0.9322 0.6354 0.0722  2 Co 2.25-2.26, 2 P 2.30
38 P 0.3365 0.0446 0.2701  2 Co 2.23, 2 P 2.26-2.34
39 P 0.7366 0.4448 0.4698  2 Co 2.23, 2 P 2.26-2.34
40 P 0.1368 0.8452 0.6697  2 Co 2.23-2.24, 2 P 2.26-2.34
41 P 0.5405 0.2480 0.8682  2 Co 2.22-2.23, 2 P 2.27-2.30
42 P 0.7063 0.4140 0.0303  2 Co 2.24, 2 P 2.27-2.34
43 P 0.1092 0.8074 0.2293  2 Co 2.23-2.24, 2 P 2.26-2.34
44 P 0.5095 0.2073 0.4291  2 Co 2.23-2.24, 2 P 2.26-2.34
45 P 0.9094 0.6073 0.6292  2 Co 2.23-2.24, 2 P 2.26-2.34
46 P 0.3082 0.0094 0.8288  2 Co 2.23-2.24, 2 P 2.26-2.32
47 P 0.6918 0.9906 0.1712  2 Co 2.23-2.24, 2 P 2.26-2.32
48 P 0.0906 0.3927 0.3708  2 Co 2.23-2.24, 2 P 2.26-2.34
49 P 0.4905 0.7927 0.5709  2 Co 2.23-2.24, 2 P 2.26-2.34
50 P 0.8908 0.1926 0.7707  2 Co 2.23-2.24, 2 P 2.26-2.34
51 P 0.2937 0.5860 0.9697  2 Co 2.24, 2 P 2.27-2.34
52 P 0.9906 0.6918 0.1712  2 Co 2.23-2.24, 2 P 2.26-2.32
53 P 0.3927 0.0906 0.3708  2 Co 2.23-2.24, 2 P 2.26-2.34
54 P 0.7927 0.4905 0.5709  2 Co 2.23-2.24, 2 P 2.26-2.34
55 P 0.1926 0.8908 0.7707  2 Co 2.23-2.24, 2 P 2.26-2.34
56 P 0.5860 0.2937 0.9697  2 Co 2.24, 2 P 2.27-2.34
57 P 0.4140 0.7063 0.0303  2 Co 2.24, 2 P 2.27-2.34
58 P 0.8074 0.1092 0.2293  2 Co 2.23-2.24, 2 P 2.26-2.34
59 P 0.2073 0.5095 0.4291  2 Co 2.23-2.24, 2 P 2.26-2.34
60 P 0.6073 0.9094 0.6292  2 Co 2.23-2.24, 2 P 2.26-2.34
61 P 0.0094 0.3082 0.8288  2 Co 2.23-2.24, 2 P 2.26-2.32
62 P 0.1758 0.1758 0.1611  2 Co 2.22, 2 P 2.26-2.32
63 P 0.5729 0.5729 0.3594  2 Co 2.24, 2 P 2.26-2.34
64 P 0.9728 0.9728 0.5594  2 Co 2.23, 2 P 2.26-2.34
65 P 0.3726 0.3726 0.7589  2 Co 2.23, 2 P 2.26-2.33
66 P 0.7667 0.7667 0.9576  2 Co 2.26, 2 P 2.30-2.31
67 P 0.2333 0.2333 0.0424  2 Co 2.26, 2 P 2.30-2.31
68 P 0.6274 0.6274 0.2411  2 Co 2.23, 2 P 2.26-2.33
69 P 0.0272 0.0272 0.4406  2 Co 2.23, 2 P 2.26-2.34
70 P 0.4271 0.4271 0.6406  2 Co 2.24, 2 P 2.26-2.34
71 P 0.8242 0.8242 0.8389  2 Co 2.22, 2 P 2.26-2.32
72 P 0.3502 0.3502 0.1023  2 Co 2.23, 2 P 2.26-2.30
73 P 0.7480 0.7480 0.3011  2 Co 2.23, 2 P 2.26-2.33
74 P 0.1479 0.1479 0.5011  2 Co 2.23, 2 P 2.26-2.34
75 P 0.5479 0.5479 0.7010  2 Co 2.24, 2 P 2.26-2.34
76 P 0.9454 0.9454 0.8982  2 Co 2.25, 2 P 2.31-2.32
77 P 0.0546 0.0546 0.1018  2 Co 2.25, 2 P 2.31-2.32
78 P 0.4521 0.4521 0.2990  2 Co 2.24, 2 P 2.26-2.34
79 P 0.8521 0.8521 0.4989  2 Co 2.23, 2 P 2.26-2.34
80 P 0.2520 0.2520 0.6989  2 Co 2.23, 2 P 2.26-2.33
81 P 0.6498 0.6498 0.8977  2 Co 2.23, 2 P 2.26-2.30

- total moment (μB per formula unit) = 0.28
- crystal system = monoclinic
- E_tot (eV/cell) = -513.42